Entry 1:
K2NbVP2O10 (PBE+U, optimized geometry); magnetization = 0.00 μB/f.u.; E_form = -2.706 eV per atom
1.0
13.155 0.000 0.000
0.000 6.554 0.000
0.000 0.000 10.946
K Nb V P O
8 4 4 8 40
Cartesian
1.351 1.209 0.000 K
1.629 5.084 8.061 K
4.948 1.807 2.588 K
5.226 4.486 5.473 K
7.929 2.068 0.000 K
8.207 4.747 8.061 K
11.525 1.470 2.588 K
11.803 5.345 5.473 K
1.722 3.240 4.765 Nb
4.855 6.517 10.238 Nb
8.299 0.037 4.765 Nb
11.433 3.313 10.238 Nb
3.239 4.908 2.003 V
3.338 1.631 7.476 V
9.816 4.923 2.003 V
9.916 1.646 7.476 V
0.019 2.202 7.519 P
2.408 0.001 4.756 P
4.169 3.278 10.229 P
6.558 5.479 2.046 P
6.597 1.075 7.519 P
8.985 3.276 4.756 P
10.746 6.553 10.229 P
13.135 4.352 2.046 P
0.142 3.480 3.341 O
0.203 3.204 6.331 O
1.221 5.240 1.802 O
1.273 1.305 7.712 O
1.451 1.224 4.524 O
1.487 5.325 5.072 O
2.966 3.036 6.127 O
2.987 3.526 3.433 O
3.237 3.505 0.495 O
3.258 6.331 3.497 O
3.319 3.055 8.970 O
3.340 0.228 5.968 O
3.591 0.249 8.906 O
3.612 6.313 0.654 O
5.090 2.048 10.545 O
5.127 4.501 9.997 O
5.304 4.582 2.239 O
5.356 1.963 7.275 O
6.374 6.480 0.858 O
6.435 0.203 8.814 O
6.720 6.350 3.341 O
6.780 0.073 6.331 O
7.799 4.591 1.802 O
7.851 1.972 7.712 O
8.028 2.053 4.524 O
8.065 4.505 5.072 O
9.543 0.240 6.127 O
9.564 6.305 3.433 O
9.814 6.326 0.495 O
9.835 3.499 3.497 O
9.897 0.222 8.970 O
9.918 3.049 5.968 O
10.168 3.028 8.906 O
10.189 3.517 0.654 O
11.667 1.229 10.545 O
11.704 5.329 9.997 O
11.881 5.248 2.239 O
11.933 1.314 7.275 O
12.952 3.350 0.858 O
13.012 3.073 8.814 O

Entry 2:
KNbW2O9 (PBE+U, optimized geometry); magnetization = 0.00 μB/f.u.; E_form = -2.468 eV per atom
1.0
3.953 0.000 0.000
0.005 13.033 0.000
0.010 6.484 11.323
K Nb W O
3 3 6 27
Cartesian
0.000 0.000 0.000 K
0.014 13.095 7.529 K
3.504 6.592 3.745 K
1.700 9.854 1.870 Nb
1.703 3.331 1.849 Nb
1.708 9.788 5.571 Nb
1.723 3.292 5.631 W
1.733 13.067 11.277 W
1.729 6.556 7.551 W
2.060 9.816 9.390 W
2.059 13.080 3.745 W
2.073 16.314 9.411 W
1.878 9.309 11.272 O
1.875 3.898 3.856 O
1.873 7.964 1.238 O
1.879 5.158 6.224 O
1.883 11.734 5.106 O
1.885 14.463 5.175 O
1.879 1.456 2.434 O
1.882 5.317 1.338 O
1.884 9.183 3.710 O
1.893 7.902 8.953 O
1.887 7.826 6.174 O
1.890 10.287 7.574 O
1.892 15.809 7.526 O
1.898 11.688 9.873 O
1.901 16.851 11.210 O
1.903 14.431 9.837 O
1.894 11.838 2.332 O
1.901 5.169 8.934 O
3.828 9.981 1.827 O
3.833 3.284 5.687 O
3.827 3.447 1.927 O
3.833 9.764 5.652 O
3.842 6.533 7.610 O
3.845 13.066 11.181 O
3.897 9.790 9.426 O
3.896 13.126 3.794 O
3.911 16.308 9.365 O

Entry 3:
KNdNi4O12 (PBE+U, optimized geometry); magnetization = 12.83 μB/f.u.; E_form = -0.815 eV per atom
1.0
7.737 0.000 0.000
0.000 3.851 3.854
0.000 -3.851 3.854
K Nd Ni O
1 1 4 12
Cartesian
0.000 0.000 0.000 K
3.868 0.000 3.750 Nd
1.909 -1.914 5.725 Ni
1.909 1.914 5.725 Ni
5.828 -1.914 5.725 Ni
5.828 1.914 5.725 Ni
0.000 -1.844 5.756 O
0.000 1.844 5.756 O
1.993 0.000 1.992 O
2.085 -1.820 3.802 O
2.085 1.820 3.802 O
2.136 0.000 5.584 O
3.868 -1.829 1.905 O
3.868 1.829 1.905 O
5.600 0.000 5.584 O
5.651 -1.820 3.802 O
5.651 1.820 3.802 O
5.743 0.000 1.992 O

Entry 4:
KNdSnWO6 (PBE+U, optimized geometry); polymorph energy (0 for the lowest one) = 0.00 eV/f.u.; magnetization = 0.00 μB/f.u.; E_form = -2.403 eV per atom
1.0
6.061 0.000 0.000
0.000 6.061 0.000
0.000 0.000 8.543
K Nd Sn W O
2 2 2 2 12
Cartesian
0.000 0.000 2.136 K
0.000 0.000 6.408 K
0.000 3.030 0.000 Nd
3.030 0.000 4.272 Nd
3.030 3.030 2.136 Sn
3.030 3.030 6.408 Sn
0.000 3.030 4.272 W
3.030 0.000 0.000 W
0.000 3.030 2.326 O
0.000 3.030 6.218 O
1.425 1.689 4.272 O
1.425 4.372 4.272 O
1.689 1.425 0.000 O
1.689 4.636 0.000 O
3.030 0.000 1.946 O
3.030 0.000 6.598 O
4.372 1.425 0.000 O
4.372 4.636 0.000 O
4.636 1.689 4.272 O
4.636 4.372 4.272 O

Entry 5:
KNdSnWO6 (PBE+U, optimized geometry); polymorph energy (0 for the lowest one) = 0.09 eV/f.u.; magnetization = 0.00 μB/f.u.; E_form = -2.394 eV per atom
1.0
0.000 4.280 4.280
4.280 0.000 4.280
4.280 4.280 0.000
K Nd Sn W O
1 1 1 1 6
Cartesian
0.000 0.000 0.000 K
6.420 6.420 6.420 Nd
4.280 4.280 4.280 Sn
2.140 2.140 2.140 W
2.140 2.140 0.189 O
2.140 0.189 2.140 O
4.092 2.140 2.140 O
0.189 2.140 2.140 O
2.140 4.092 2.140 O
2.140 2.140 4.092 O

Entry 6:
K4Ni3O6 (PBE+U, optimized geometry); E_form = -1.262 eV per atom
1.0
4.534 -3.084 0.000
4.534 3.084 0.000
-0.194 0.000 7.912
K Ni O
4 3 6
Cartesian
1.304 0.000 3.094 K
1.419 0.000 6.918 K
7.454 0.000 0.994 K
7.570 0.000 4.819 K
4.193 0.000 1.339 Ni
4.437 0.000 3.956 Ni
4.680 0.000 6.573 Ni
3.865 1.234 2.710 O
4.534 1.214 0.000 O
5.009 1.234 5.203 O
3.865 -1.234 2.710 O
4.534 -1.214 0.000 O
5.009 -1.234 5.203 O

Entry 7:
K3Ni2O4 (PBE+U, optimized geometry); magnetization = 1.00 μB/f.u.; E_form = -1.292 eV per atom
1.0
3.062 -4.565 0.000
3.062 4.565 0.000
0.000 0.000 10.708
K Ni O
6 4 8
Cartesian
3.062 3.196 6.130 K
3.062 3.196 9.931 K
3.062 2.718 2.677 K
3.062 -2.718 8.031 K
3.062 -3.196 0.776 K
3.062 -3.196 4.578 K
3.062 0.602 8.031 Ni
3.062 0.000 0.000 Ni
3.062 0.000 5.354 Ni
3.062 -0.602 2.677 Ni
1.826 0.605 6.591 O
1.826 0.605 9.470 O
1.826 -0.605 1.238 O
1.826 -0.605 4.116 O
4.298 0.605 6.591 O
4.298 0.605 9.470 O
4.298 -0.605 1.238 O
4.298 -0.605 4.116 O

Entry 8:
K3NiO2 (PBE+U, optimized geometry); piezoelectric modulus e_max = 0.1 C/m2; magnetization = 0.00 μB/f.u.; E_form = -1.134 eV per atom
1.0
6.094 0.000 0.000
0.000 6.095 0.000
-0.021 0.000 14.077
K Ni O
12 4 8
Cartesian
1.206 0.000 5.280 K
1.382 3.235 3.513 K
1.381 3.491 14.075 K
1.643 3.225 7.038 K
1.641 3.480 10.557 K
1.813 0.620 12.315 K
4.260 3.668 1.762 K
4.433 0.432 3.520 K
4.430 0.178 7.040 K
4.693 0.444 0.002 K
4.692 0.188 10.564 K
4.867 3.047 8.798 K
1.495 0.338 1.761 Ni
1.538 0.282 8.797 Ni
4.535 3.330 5.280 Ni
4.578 3.385 12.316 Ni
0.216 5.178 1.904 O
0.284 5.101 8.651 O
2.749 1.615 1.616 O
2.813 1.537 8.944 O
3.260 4.584 5.134 O
3.324 4.662 12.461 O
5.790 2.053 5.427 O
5.858 2.131 12.173 O

Entry 9:
K3NiO2 (PBE+U, optimized geometry); magnetization = 1.00 μB/f.u.; E_form = -1.134 eV per atom
1.0
6.113 0.000 0.000
0.000 6.113 0.000
0.000 0.000 7.041
K Ni O
6 2 4
Cartesian
0.000 0.000 0.000 K
0.000 3.057 1.760 K
0.000 3.057 5.281 K
3.057 0.000 1.760 K
3.057 0.000 5.281 K
3.057 3.057 3.521 K
0.000 0.000 3.521 Ni
3.057 3.057 0.000 Ni
1.269 1.269 3.521 O
1.787 4.326 0.000 O
4.326 1.787 0.000 O
4.844 4.844 3.521 O

Entry 10:
KNiPO4 (PBE+U, optimized geometry); magnetization = 2.00 μB/f.u.; E_form = -2.320 eV per atom
1.0
8.722 0.000 0.000
0.000 9.363 0.000
0.000 0.000 4.975
K Ni P O
4 4 4 16
Cartesian
0.009 1.716 0.000 K
4.352 6.397 2.487 K
4.370 2.966 0.000 K
8.713 7.647 2.487 K
1.348 5.077 4.873 Ni
3.013 0.396 2.385 Ni
5.709 8.967 4.873 Ni
7.373 4.286 2.385 Ni
1.826 3.502 2.709 P
2.535 8.184 0.221 P
6.187 1.179 2.709 P
6.896 5.861 0.221 P
0.414 3.895 3.318 O
1.599 9.195 0.952 O
1.855 3.625 1.171 O
2.140 2.044 3.107 O
2.220 6.726 0.619 O
2.505 8.306 3.659 O
2.762 4.513 3.439 O
3.947 8.576 0.831 O
4.774 0.787 3.318 O
5.960 4.850 0.952 O
6.216 1.057 1.171 O
6.501 2.637 3.107 O
6.581 7.319 0.619 O
6.866 5.738 3.659 O
7.123 0.168 3.439 O
8.308 5.468 0.831 O

Entry 11:
K4NiP6O25 (PBE+U, optimized geometry); polymorph energy (0 for the lowest one) = 0.28 eV/f.u.; magnetization = 14.00 μB/f.u.; E_form = -1.718 eV per atom
1.0
0.000 11.739 5.890
4.417 0.000 5.890
4.417 11.739 0.000
K Ni P O
4 1 6 25
Cartesian
4.417 2.629 5.890 K
2.208 5.870 4.913 K
4.417 20.849 5.890 K
6.625 17.609 10.802 K
4.417 11.739 4.526 Ni
2.928 3.034 2.462 P
1.489 8.705 2.462 P
4.417 6.253 7.770 P
5.906 14.773 8.351 P
7.345 20.444 8.351 P
4.417 17.225 7.770 P
4.417 6.013 3.274 O
5.901 11.739 3.507 O
2.538 3.282 3.892 O
6.793 9.565 7.508 O
4.417 5.348 6.583 O
5.889 11.739 5.618 O
5.675 7.296 7.567 O
4.417 9.776 4.737 O
6.793 13.913 7.508 O
2.933 11.739 3.507 O
1.879 8.457 3.892 O
4.417 13.702 4.737 O
4.417 17.466 3.274 O
3.158 7.296 7.567 O
4.417 9.348 8.352 O
2.944 11.739 5.618 O
5.675 16.182 7.567 O
6.296 15.021 9.781 O
4.417 14.130 8.352 O
2.041 9.565 7.508 O
4.417 18.131 6.583 O
6.954 20.197 9.781 O
4.417 11.739 10.660 O
3.158 16.182 7.567 O
2.041 13.913 7.508 O

Entry 12:
KNiPO10 (PBE+U, optimized geometry); magnetization = 6.00 μB/f.u.; E_form = -0.682 eV per atom
1.0
6.433 0.000 0.000
0.000 9.628 0.000
-0.372 0.000 7.303
K Ni P O
2 2 2 20
Cartesian
0.819 0.000 2.424 K
5.243 4.814 4.879 K
0.892 6.144 0.478 Ni
5.170 1.330 6.824 Ni
0.033 8.414 5.682 P
6.029 3.600 1.621 P
-0.336 9.238 6.952 O
-0.024 7.148 1.610 O
0.037 6.907 6.038 O
0.501 3.899 2.838 O
1.365 8.909 5.062 O
2.352 6.244 3.563 O
2.322 5.262 7.287 O
2.669 7.341 0.682 O
2.799 2.123 3.278 O
2.618 1.518 7.023 O
3.444 6.332 0.280 O
3.263 6.937 4.025 O
3.392 2.527 6.621 O
3.739 0.448 0.016 O
3.710 1.430 3.739 O
4.697 4.095 2.241 O
5.561 8.713 4.465 O
6.025 2.093 1.265 O
6.086 2.334 5.693 O
6.398 4.424 0.351 O